(1)
VASP calculation (r2SCAN) on a geometry-optimized Sr3Sn5 structure.

Properties
**Total moment**: 0.00 μB/f.u.
**Energy of formation from the pure elements**: -0.62 eV per atom

Cell lengths 10.727, 8.668, 10.932 Å; angles 90.00, 90.00, 90.00 degrees
Space group Cmcm (No. 63)
Unique sites:
Sr  0.000  0.148  0.250 (multiplicity 4)
Sr  0.204  0.500  0.000 (multiplicity 8)
Sn  0.000  0.189  0.554 (multiplicity 8)
Sn  0.000  0.455  0.750 (multiplicity 4)
Sn  0.198  0.210  0.750 (multiplicity 8)

=====

(2)
VASP calculation (r2SCAN) on a geometry-optimized SiO2 structure.

Properties
**Total moment**: 0.00 μB/f.u.
**Energy of formation from the pure elements**: -3.02 eV per atom

Cell lengths 14.291, 7.165, 9.058 Å; angles 90.00, 90.00, 90.00 degrees
Space group Pmma (No. 51)
Unique sites:
Si  0.021  0.000  0.173 (multiplicity 4)
Si  0.140  0.284  0.342 (multiplicity 8)
Si  0.142  0.000  0.597 (multiplicity 4)
O  0.000  0.000  0.000 (multiplicity 2)
O  0.077  0.000  0.740 (multiplicity 4)
O  0.080  0.185  0.215 (multiplicity 8)
O  0.111  0.500  0.355 (multiplicity 4)
O  0.121  0.184  0.500 (multiplicity 8)
O  0.250  0.000  0.650 (multiplicity 2)
O  0.250  0.265  0.301 (multiplicity 4)

=====

(3)
VASP calculation (r2SCAN) on a geometry-optimized KRuF6 structure.

Properties
**Total moment**: 3.00 μB/f.u.
**Energy of formation from the pure elements**: -2.34 eV per atom

Cell lengths 7.4862, 7.4862, 7.3020 Å; angles 90.00, 90.00, 120.00 degrees
Space group R-3m (No. 166, hexagonal axes)
Unique sites:
K  0.0000  0.0000  0.0000 (multiplicity 3)
Ru  0.0000  0.0000  0.5000 (multiplicity 3)
F  0.1005  0.5503  0.3185 (multiplicity 18)

=====

(4)
VASP calculation (r2SCAN) on a geometry-optimized ErV2Ga4 structure.

Properties
**Total moment**: 0.00 μB/f.u.
**Energy of formation from the pure elements**: -0.47 eV per atom

Cell lengths 6.552, 6.552, 5.189 Å; angles 90.00, 90.00, 90.00 degrees
Space group I4/mmm (No. 139)
Unique sites:
Er  0.000  0.000  0.000 (multiplicity 2)
V  0.000  0.500  0.250 (multiplicity 4)
Ga  0.197  0.197  0.500 (multiplicity 8)

=====

(5)
VASP calculation (r2SCAN) on a geometry-optimized HfCoSn structure.

Properties
**Total moment**: 0.00 μB/f.u.
**Energy of formation from the pure elements**: -0.37 eV per atom

Cell lengths 7.0559, 7.0559, 7.1033 Å; angles 90.00, 90.00, 120.00 degrees
Space group P-62c (No. 190)
Unique sites:
Hf  0.0074  0.4006  0.2500 (multiplicity 6)
Co  0.0000  0.0000  0.2500 (multiplicity 2)
Co  0.3333  0.6667  0.5357 (multiplicity 4)
Sn  0.0000  0.7321  0.0000 (multiplicity 6)

=====

(6)
VASP calculation (r2SCAN) on a geometry-optimized Lu3O2F5 structure.

Properties
**Total moment**: 0.00 μB/f.u.
**Energy of formation from the pure elements**: -4.41 eV per atom

Cell lengths 5.462, 16.712, 5.190 Å; angles 90.00, 90.00, 90.00 degrees
Space group Pnma (No. 62)
Unique sites:
Lu  0.171  0.097  0.039 (multiplicity 8)
Lu  0.235  0.250  0.456 (multiplicity 4)
O  0.040  0.669  0.701 (multiplicity 8)
F  0.107  0.250  0.857 (multiplicity 4)
F  0.122  0.514  0.787 (multiplicity 8)
F  0.165  0.625  0.176 (multiplicity 8)

=====

(7)
VASP calculation (r2SCAN) on a geometry-optimized YbCu4Au structure.

Properties
**Total moment**: 0.00 μB/f.u.
**Energy of formation from the pure elements**: -0.38 eV per atom

Cell lengths 6.998, 6.998, 6.998 Å; angles 90.00, 90.00, 90.00 degrees
Space group F-43m (No. 216)
Unique sites:
Yb  0.000  0.000  0.000 (multiplicity 4)
Cu  0.125  0.125  0.375 (multiplicity 16)
Au  0.250  0.250  0.750 (multiplicity 4)

=====

(8)
VASP calculation (r2SCAN) on a geometry-optimized NdEr3 structure.

Properties
**Total moment**: 0.54 μB/f.u.
**Energy of formation from the pure elements**: 0.06 eV per atom
**Distance to the lowest polymorph of the same formula**: 0.045 eV per atom

Cell lengths 5.028, 5.028, 5.028 Å; angles 90.00, 90.00, 90.00 degrees
Space group Pm-3m (No. 221)
Unique sites:
Nd  0.000  0.000  0.000 (multiplicity 1)
Er  0.000  0.500  0.500 (multiplicity 3)

=====

(9)
VASP calculation (r2SCAN) on a geometry-optimized BeP2O6 structure.

Properties
**Total moment**: 0.00 μB/f.u.
**Energy of formation from the pure elements**: -2.54 eV per atom
**Distance to the lowest polymorph of the same formula**: 0.000 eV per atom

Cell lengths 4.851, 12.853, 7.250 Å; angles 90.00, 113.02, 90.00 degrees
Space group P2_1/c (No. 14)
Unique sites:
Be  0.137  0.067  0.264 (multiplicity 4)
P  0.466  0.650  0.420 (multiplicity 4)
P  0.480  0.632  0.830 (multiplicity 4)
O  0.224  0.572  0.340 (multiplicity 4)
O  0.241  0.552  0.769 (multiplicity 4)
O  0.245  0.115  0.488 (multiplicity 4)
O  0.270  0.138  0.133 (multiplicity 4)
O  0.324  0.738  0.851 (multiplicity 4)
O  0.412  0.156  0.844 (multiplicity 4)

=====

(10)
VASP calculation (r2SCAN) on a geometry-optimized Sn4Pd structure.

Properties
**Total moment**: 0.00 μB/f.u.
**Energy of formation from the pure elements**: -0.15 eV per atom

Cell lengths 6.465, 11.609, 6.445 Å; angles 90.00, 90.00, 90.00 degrees
Space group Ccce (No. 68, origin choice 2)
Unique sites:
Sn  0.171  0.124  0.080 (multiplicity 16)
Pd  0.000  0.250  0.750 (multiplicity 4)

=====

(11)
VASP calculation (r2SCAN) on a geometry-optimized Pr3Gd structure.

Properties
**Total moment**: 5.30 μB/f.u.
**Energy of formation from the pure elements**: 0.61 eV per atom

Cell lengths 6.041, 7.498, 12.990 Å; angles 90.00, 90.00, 90.00 degrees
Space group Amm2 (No. 38)
Unique sites:
Pr  0.000  0.000  0.000 (multiplicity 2)
Pr  0.000  0.246  0.755 (multiplicity 4)
Pr  0.500  0.000  0.338 (multiplicity 2)
Pr  0.500  0.247  0.585 (multiplicity 4)
Gd  0.000  0.000  0.503 (multiplicity 2)
Gd  0.500  0.000  0.837 (multiplicity 2)

=====

(12)
VASP calculation (r2SCAN) on a geometry-optimized Cd2As3Br structure.

Properties
**Total moment**: 0.00 μB/f.u.
**Energy of formation from the pure elements**: -0.38 eV per atom

Cell lengths 8.368, 9.509, 8.060 Å; angles 90.00, 101.23, 90.00 degrees
Space group C2/c (No. 15)
Unique sites:
Cd  0.239  0.150  0.293 (multiplicity 8)
As  0.000  0.209  0.750 (multiplicity 4)
As  0.127  0.047  0.972 (multiplicity 8)
Br  0.000  0.364  0.250 (multiplicity 4)